1.
The following is a DFT calculation (PBE with a Hubbard U) of a geometry-optimized Na3NiPCO7 structure. Values from VASP.

MP2020-corrected energy, eV per atom: -6.768
Mass density, Mg/m³: 3.03
Polymorph energy (0 for the lowest one), meV per atom: 0
DFT formation energy, eV per atom: -2.23

```
&SYSTEM
  ibrav = 0, nat = 52, ntyp = 5
/
ATOMIC_SPECIES
O 16.00 O.upf
Ni 58.69 Ni.upf
Na 22.99 Na.upf
P 30.97 P.upf
C 12.01 C.upf
CELL_PARAMETERS angstrom
3.0233 -4.1629 0.8214
-2.9479 0.4310 13.0352
-6.8461 -5.4945 -1.3668
ATOMIC_POSITIONS crystal
O 0.4193 0.1251 0.4505
O 0.4842 0.6250 0.8450
O 0.5158 0.3750 0.1550
O 0.4841 0.1250 0.8450
O 0.2139 0.2821 0.6825
O 0.1416 0.3750 0.4333
O 0.6914 0.8750 0.9196
O 0.0578 0.1250 0.8762
O 0.3086 0.6250 0.0804
O 0.2141 0.9679 0.6825
O 0.7859 0.0321 0.3175
O 0.2139 0.7821 0.6825
O 0.3086 0.1250 0.0804
O 0.2141 0.4679 0.6825
O 0.1416 0.8750 0.4333
O 0.7861 0.2179 0.3175
O 0.8584 0.6250 0.5667
O 0.0578 0.6250 0.8762
O 0.9422 0.3750 0.1238
O 0.8584 0.1250 0.5667
O 0.7859 0.5321 0.3175
O 0.5807 0.8750 0.5494
O 0.6914 0.3750 0.9196
O 0.7861 0.7179 0.3175
O 0.9422 0.8750 0.1238
O 0.5806 0.3749 0.5495
O 0.4193 0.6250 0.4506
O 0.5158 0.8750 0.1550
Ni 0.2212 0.6249 0.6523
Ni 0.2211 0.1251 0.6522
Ni 0.7788 0.8751 0.3477
Ni 0.7789 0.3749 0.3478
Na 0.7459 0.7541 0.7276
Na 0.2541 0.5041 0.2724
Na 0.2274 0.3750 0.9186
Na 0.7459 0.9959 0.7276
Na 0.2274 0.8750 0.9186
Na 0.7726 0.1250 0.0814
Na 0.7459 0.4959 0.7276
Na 0.2541 0.7459 0.2724
Na 0.7726 0.6250 0.0814
Na 0.7459 0.2541 0.7276
Na 0.2541 0.0041 0.2724
Na 0.2541 0.2459 0.2724
P 0.7153 0.6250 0.4162
P 0.2848 0.8750 0.5838
P 0.2848 0.3750 0.5838
P 0.7152 0.1250 0.4162
C 0.7161 0.8750 0.0638
C 0.7161 0.3750 0.0638
C 0.2839 0.6250 0.9362
C 0.2839 0.1250 0.9362
```



2.
The following is a DFT calculation (PBE with a Hubbard U) of a geometry-optimized Na5Ni2P2C2O14 structure. Values from VASP.

MP2020-corrected energy, eV per atom: -6.827
Mass density, Mg/m³: 2.96
Polymorph energy (0 for the lowest one), meV per atom: 4
DFT formation energy, eV per atom: -2.16

```
&SYSTEM
  ibrav = 0, nat = 50, ntyp = 5
/
ATOMIC_SPECIES
P 30.97 P.upf
O 16.00 O.upf
Ni 58.69 Ni.upf
Na 22.99 Na.upf
C 12.01 C.upf
CELL_PARAMETERS angstrom
-1.6298 -5.9195 -2.5164
2.0593 -2.3364 4.1624
-15.4032 0.5887 8.5916
ATOMIC_POSITIONS crystal
P 0.7500 0.2810 0.0406
P 0.7500 0.2802 0.5406
P 0.2500 0.7190 0.9594
P 0.2500 0.7198 0.4594
O 0.7500 0.1360 0.4654
O 0.2500 0.8640 0.5346
O 0.7500 0.5195 0.3323
O 0.5627 0.2089 0.0889
O 0.7500 0.5783 0.0234
O 0.4373 0.7911 0.9111
O 0.4356 0.7877 0.4091
O 0.0644 0.7877 0.4091
O 0.2500 0.8577 0.0356
O 0.0627 0.7911 0.9111
O 0.5644 0.2123 0.5909
O 0.9373 0.2089 0.0889
O 0.7500 0.5108 0.8279
O 0.7500 0.9377 0.3129
O 0.7500 0.6827 0.2127
O 0.7500 0.6862 0.7094
O 0.2500 0.4892 0.1721
O 0.9356 0.2123 0.5909
O 0.7500 0.1423 0.9644
O 0.2500 0.0623 0.6871
O 0.7500 0.5756 0.5214
O 0.2500 0.4244 0.4786
O 0.2500 0.4805 0.6677
O 0.2500 0.0645 0.1886
O 0.2500 0.4217 0.9766
O 0.2500 0.3138 0.2906
O 0.2500 0.3173 0.7873
O 0.7500 0.9355 0.8114
Ni 0.7500 0.7775 0.9226
Ni 0.2500 0.2222 0.5773
Ni 0.7500 0.7778 0.4227
Ni 0.2500 0.2225 0.0774
Na 0.5137 0.7455 0.1166
Na 0.9927 0.7455 0.6171
Na 0.0137 0.2545 0.8834
Na 0.2500 0.7770 0.2898
Na 0.9863 0.7455 0.1166
Na 0.7500 0.2230 0.7102
Na 0.0073 0.2545 0.3829
Na 0.5073 0.7455 0.6171
Na 0.4927 0.2545 0.3829
Na 0.4863 0.2545 0.8834
C 0.2500 0.2897 0.2183
C 0.7500 0.7103 0.7817
C 0.7500 0.7121 0.2832
C 0.2500 0.2879 0.7168
```



3.
The following is a DFT calculation (PBE with a Hubbard U) of a geometry-optimized Na5Ni2P2C2O14 structure. Values from VASP.

MP2020-corrected energy, eV per atom: -6.829
Mass density, Mg/m³: 2.94
Polymorph energy (0 for the lowest one), meV per atom: 1
DFT formation energy, eV per atom: -2.16

```
&SYSTEM
  ibrav = 0, nat = 75, ntyp = 5
/
ATOMIC_SPECIES
Na 22.99 Na.upf
O 16.00 O.upf
C 12.01 C.upf
Ni 58.69 Ni.upf
P 30.97 P.upf
CELL_PARAMETERS angstrom
-3.3481 -0.8323 -3.8819
-5.8065 -3.0010 5.9418
-7.2343 18.5562 2.2699
ATOMIC_POSITIONS crystal
Na 0.2242 0.0823 0.4162
Na 0.2542 0.7329 0.6637
Na 0.2486 0.7414 0.1710
Na 0.2540 0.7342 0.9974
Na 0.2564 0.7286 0.5024
Na 0.7761 0.9189 0.9169
Na 0.7459 0.2668 0.3362
Na 0.2523 0.7353 0.3294
Na 0.7757 0.9179 0.5835
Na 0.7436 0.2716 0.4975
Na 0.2543 0.7339 0.8362
Na 0.7513 0.2584 0.1623
Na 0.7472 0.2650 0.6709
Na 0.7480 0.2639 0.0037
Na 0.7475 0.2643 0.8294
O 0.9396 0.8713 0.0830
O 0.4858 0.1560 0.5838
O 0.7892 0.6825 0.6453
O 0.2083 0.3244 0.8129
O 0.8562 0.4303 0.9168
O 0.6817 0.0743 0.7499
O 0.1423 0.5691 0.4161
O 0.9405 0.8788 0.4177
O 0.2081 0.3250 0.1458
O 0.7900 0.6822 0.8551
O 0.5222 0.8335 0.0841
O 0.9398 0.8736 0.7501
O 0.0597 0.1212 0.5823
O 0.1430 0.5735 0.0837
O 0.7896 0.6821 0.9788
O 0.4200 0.5493 0.5832
O 0.1415 0.5724 0.7502
O 0.2110 0.3178 0.3544
O 0.2083 0.3251 0.0206
O 0.7920 0.6752 0.1872
O 0.8575 0.4267 0.2494
O 0.3152 0.9193 0.9168
O 0.5223 0.8347 0.7501
O 0.4849 0.1573 0.9167
O 0.6830 0.0730 0.0825
O 0.3155 0.9179 0.5827
O 0.2076 0.3243 0.6876
O 0.8580 0.4310 0.5839
O 0.5801 0.4505 0.4168
O 0.4206 0.5464 0.2500
O 0.5799 0.4537 0.0830
O 0.5145 0.8439 0.4162
O 0.2096 0.3181 0.4782
O 0.3169 0.9269 0.2509
O 0.6844 0.0820 0.4173
O 0.0594 0.1226 0.9167
O 0.4195 0.5501 0.9168
O 0.5786 0.4539 0.7503
O 0.0604 0.1287 0.2502
O 0.7923 0.6752 0.3124
O 0.4777 0.1665 0.2492
O 0.7900 0.6818 0.5216
C 0.2861 0.0678 0.2496
C 0.7139 0.9321 0.0837
C 0.7131 0.9375 0.4166
C 0.7141 0.9335 0.7500
C 0.2863 0.0637 0.9167
C 0.2871 0.0624 0.5833
Ni 0.7810 0.6524 0.7501
Ni 0.7791 0.6535 0.4162
Ni 0.2209 0.3470 0.9167
Ni 0.2193 0.3482 0.2494
Ni 0.7808 0.6518 0.0839
Ni 0.2210 0.3462 0.5837
P 0.2805 0.4190 0.0833
P 0.7200 0.5814 0.2498
P 0.7170 0.5826 0.9168
P 0.7171 0.5827 0.5834
P 0.2806 0.4185 0.7503
P 0.2829 0.4172 0.4164
```



4.
The following is a DFT calculation (PBE with a Hubbard U) of a geometry-optimized Na5Ni2P2C2O14 structure. Values from VASP.

MP2020-corrected energy, eV per atom: -6.804
Mass density, Mg/m³: 2.94
Polymorph energy (0 for the lowest one), meV per atom: 26
DFT formation energy, eV per atom: -2.14

```
&SYSTEM
  ibrav = 0, nat = 50, ntyp = 5
/
ATOMIC_SPECIES
O 16.00 O.upf
Na 22.99 Na.upf
C 12.01 C.upf
Ni 58.69 Ni.upf
P 30.97 P.upf
CELL_PARAMETERS angstrom
5.1757 0.0000 0.0000
0.2470 8.8803 0.0000
0.0055 0.0375 13.3213
ATOMIC_POSITIONS crystal
O 0.2153 0.6741 0.4681
O 0.0583 0.8762 0.1244
O 0.1386 0.4263 0.3766
O 0.7902 0.3188 0.0321
O 0.8614 0.5737 0.6234
O 0.7837 0.3285 0.7193
O 0.2098 0.6812 0.9679
O 0.2114 0.6837 0.7823
O 0.5817 0.5506 0.8754
O 0.4859 0.8432 0.1258
O 0.8564 0.5675 0.1267
O 0.4817 0.8272 0.6236
O 0.5813 0.5394 0.3748
O 0.7886 0.3163 0.2177
O 0.5183 0.1728 0.3764
O 0.0618 0.8589 0.6236
O 0.3064 0.0633 0.6276
O 0.9382 0.1411 0.3764
O 0.7847 0.3259 0.5319
O 0.3109 0.0791 0.1234
O 0.9417 0.1238 0.8756
O 0.4183 0.4494 0.1246
O 0.6891 0.9209 0.8766
O 0.1436 0.4325 0.8733
O 0.2163 0.6715 0.2807
O 0.5141 0.1568 0.8742
O 0.6936 0.9367 0.3724
O 0.4187 0.4606 0.6252
Na 0.2545 0.2719 0.0033
Na 0.7492 0.7340 0.7548
Na 0.7510 0.7369 0.2565
Na 0.2508 0.2660 0.2452
Na 0.7574 0.7464 0.4925
Na 0.7743 0.0810 0.1255
Na 0.2426 0.2536 0.5075
Na 0.2257 0.9190 0.8745
Na 0.7455 0.7281 0.9967
Na 0.2490 0.2631 0.7435
C 0.2855 0.9354 0.1251
C 0.7145 0.0646 0.8749
C 0.2861 0.9230 0.6242
C 0.7139 0.0770 0.3758
Ni 0.7779 0.3474 0.8741
Ni 0.2221 0.6526 0.1259
Ni 0.7767 0.3487 0.3767
Ni 0.2233 0.6513 0.6233
P 0.7162 0.4166 0.1253
P 0.2811 0.5775 0.3752
P 0.2838 0.5834 0.8747
P 0.7189 0.4225 0.6248
```



5.
The following is a DFT calculation (PBE with a Hubbard U) of a geometry-optimized Na5Ni2P2C2O14 structure. Values from VASP.

MP2020-corrected energy, eV per atom: -6.828
Mass density, Mg/m³: 2.94
Polymorph energy (0 for the lowest one), meV per atom: 3
DFT formation energy, eV per atom: -2.16

```
&SYSTEM
  ibrav = 0, nat = 50, ntyp = 5
/
ATOMIC_SPECIES
P 30.97 P.upf
O 16.00 O.upf
Ni 58.69 Ni.upf
Na 22.99 Na.upf
C 12.01 C.upf
CELL_PARAMETERS angstrom
-5.7105 -2.2313 -2.6043
4.5573 -4.8134 -5.8689
0.2393 -8.1556 6.4629
ATOMIC_POSITIONS crystal
P 0.2500 0.4177 0.3585
P 0.7500 0.5802 0.1410
P 0.2500 0.4198 0.8590
P 0.7500 0.5823 0.6415
O 0.4378 0.3244 0.8955
O 0.0622 0.3244 0.8955
O 0.7500 0.1264 0.9671
O 0.2500 0.8736 0.0329
O 0.2500 0.4531 0.7102
O 0.0643 0.3185 0.3949
O 0.7500 0.1612 0.7571
O 0.2500 0.0761 0.1616
O 0.2500 0.5726 0.9286
O 0.2500 0.8413 0.7390
O 0.7500 0.5469 0.2898
O 0.5643 0.6815 0.6051
O 0.2500 0.5696 0.4286
O 0.2500 0.0799 0.6515
O 0.7500 0.4274 0.0714
O 0.7500 0.1244 0.4722
O 0.9378 0.6756 0.1045
O 0.7500 0.5482 0.7901
O 0.2500 0.4518 0.2099
O 0.2500 0.8388 0.2429
O 0.7500 0.9201 0.3485
O 0.7500 0.9239 0.8384
O 0.7500 0.4304 0.5714
O 0.7500 0.1587 0.2610
O 0.4357 0.3185 0.3949
O 0.2500 0.8756 0.5278
O 0.5622 0.6756 0.1045
O 0.9357 0.6815 0.6051
Ni 0.7500 0.3461 0.3902
Ni 0.7500 0.3480 0.8894
Ni 0.2500 0.6539 0.6098
Ni 0.2500 0.6520 0.1106
Na 0.9930 0.7433 0.8812
Na 0.5070 0.7433 0.8812
Na 0.0070 0.2567 0.1188
Na 0.4878 0.2711 0.6344
Na 0.5122 0.7289 0.3656
Na 0.4930 0.2567 0.1188
Na 0.2500 0.0855 0.3896
Na 0.9878 0.7289 0.3656
Na 0.0122 0.2711 0.6344
Na 0.7500 0.9145 0.6104
C 0.7500 0.0633 0.3584
C 0.2500 0.9367 0.6416
C 0.2500 0.9341 0.1443
C 0.7500 0.0659 0.8557
```



6.
The following is a DFT calculation (PBE with a Hubbard U) of a geometry-optimized Na5Ni2P2C2O14 structure. Values from VASP.

MP2020-corrected energy, eV per atom: -6.810
Mass density, Mg/m³: 2.94
Polymorph energy (0 for the lowest one), meV per atom: 21
DFT formation energy, eV per atom: -2.14

```
&SYSTEM
  ibrav = 0, nat = 50, ntyp = 5
/
ATOMIC_SPECIES
O 16.00 O.upf
Na 22.99 Na.upf
P 30.97 P.upf
Ni 58.69 Ni.upf
C 12.01 C.upf
CELL_PARAMETERS angstrom
-6.6247 -3.7696 3.5467
6.5743 -3.7861 3.6470
0.0240 9.7229 3.0201
ATOMIC_POSITIONS crystal
O 0.6598 0.9066 0.4310
O 0.2903 0.0412 0.8439
O 0.9103 0.1532 0.1230
O 0.0946 0.8446 0.8767
O 0.8116 0.5731 0.0734
O 0.5587 0.3144 0.4567
O 0.7274 0.1622 0.6798
O 0.0887 0.0219 0.3186
O 0.9357 0.1857 0.5450
O 0.2787 0.8385 0.3226
O 0.1574 0.4064 0.4302
O 0.9152 0.9787 0.6822
O 0.0657 0.8231 0.4597
O 0.7899 0.5368 0.8383
O 0.5799 0.5213 0.3187
O 0.3193 0.0733 0.0793
O 0.8375 0.5881 0.5663
O 0.7178 0.9645 0.1608
O 0.6830 0.9321 0.9235
O 0.3424 0.0919 0.5698
O 0.4036 0.6586 0.1318
O 0.2137 0.4584 0.1602
O 0.7583 0.3235 0.3182
O 0.5925 0.3412 0.8701
O 0.1804 0.4299 0.9248
O 0.4141 0.4786 0.6746
O 0.2248 0.6654 0.6732
O 0.4336 0.6845 0.5386
Na 0.2631 0.2568 0.2705
Na 0.0041 0.4914 0.7320
Na 0.4858 0.9739 0.7309
Na 0.2407 0.2522 0.7327
Na 0.9415 0.2013 0.9211
Na 0.7741 0.7508 0.2711
Na 0.7255 0.7377 0.7305
Na 0.5686 0.3092 0.0855
Na 0.0561 0.7965 0.0848
Na 0.5098 0.0140 0.2646
P 0.8081 0.0569 0.5817
P 0.3010 0.5540 0.5761
P 0.1947 0.9459 0.4217
P 0.6909 0.4410 0.4199
Ni 0.0622 0.8143 0.6535
Ni 0.5633 0.3119 0.6531
Ni 0.4297 0.6844 0.3445
Ni 0.9375 0.1922 0.3448
C 0.7335 0.4880 0.9317
C 0.2372 0.9874 0.9361
C 0.7668 0.0125 0.0654
C 0.2640 0.5130 0.0671
```